<A>
! VC2O6 (GGA+U, relaxed); values from VASP
! - Magnetic moment: 4.00 μB per cell
! - ρ: 2.4 g/cm³
&SYSTEM
  ibrav = 0, nat = 36, ntyp = 3
/
ATOMIC_SPECIES
V 50.94 V.upf
C 12.01 C.upf
O 16.00 O.upf
CELL_PARAMETERS angstrom
4.851 -0.015 -0.001
-2.442 5.923 0.035
-2.431 1.802 16.348
ATOMIC_POSITIONS angstrom
V 2.410 3.850 8.191
V -0.007 2.824 12.270
V -2.439 5.920 0.035
V -0.015 4.885 4.113
C 2.421 2.122 10.648
C -2.443 7.019 14.761
C 2.413 4.179 2.489
C -0.012 3.161 6.570
C -0.018 4.552 9.813
C -2.435 3.528 13.892
C 2.428 0.687 1.621
C -2.443 5.590 5.735
O 1.164 2.028 10.938
O -3.699 6.921 15.048
O 1.158 4.083 2.777
O -1.268 3.067 6.858
O -0.906 4.827 8.915
O 1.528 3.788 12.996
O 1.541 0.957 0.722
O 1.520 5.845 4.836
O -0.383 4.282 11.019
O -2.797 3.259 15.100
O 2.061 0.422 2.828
O -2.809 5.325 6.943
O 2.783 2.390 9.441
O -2.077 7.288 13.555
O 2.778 4.445 1.281
O 0.353 3.426 5.363
O -1.543 1.860 11.545
O -1.556 6.747 15.660
O -1.550 3.925 3.388
O 0.875 2.888 7.469
O 1.237 4.647 9.524
O -1.178 3.622 13.603
O 3.684 0.785 1.335
O -1.188 5.684 5.447



<B>
! VC2O6 (GGA+U, relaxed); values from VASP
! - Magnetic moment: 2.00 μB per cell
! - ρ: 2.5 g/cm³
&SYSTEM
  ibrav = 0, nat = 18, ntyp = 3
/
ATOMIC_SPECIES
V 50.94 V.upf
C 12.01 C.upf
O 16.00 O.upf
CELL_PARAMETERS angstrom
4.571 -0.001 -0.009
-0.002 6.302 -0.002
0.167 -0.002 7.750
ATOMIC_POSITIONS angstrom
V 2.451 -0.002 7.745
V 4.653 3.149 3.865
C 0.182 1.280 6.259
C 2.382 1.868 2.381
C 2.355 4.430 5.358
C 4.554 5.018 1.478
O 0.676 1.846 5.215
O 1.860 4.995 6.402
O 2.877 1.303 1.337
O 4.060 4.451 2.523
O 0.992 1.094 7.276
O 1.545 4.245 4.341
O 3.192 2.054 3.398
O 3.745 5.205 0.463
O 1.166 2.240 2.436
O 1.199 5.391 1.433
O 3.537 0.906 6.305
O 3.571 4.057 5.304



<C>
! VC2O6 (GGA+U, relaxed); values from VASP
! - Magnetic moment: 0.00 μB per cell
! - ρ: 2.4 g/cm³
&SYSTEM
  ibrav = 0, nat = 36, ntyp = 3
/
ATOMIC_SPECIES
V 50.94 V.upf
C 12.01 C.upf
O 16.00 O.upf
CELL_PARAMETERS angstrom
4.723 1.508 6.305
-5.968 5.917 0.377
-1.477 -4.759 6.321
ATOMIC_POSITIONS angstrom
V -0.603 2.809 8.148
V -1.999 5.947 5.027
V -0.706 -3.325 7.929
V -2.134 -0.100 4.902
C -1.015 -0.261 7.715
C -0.940 5.821 7.858
C -0.426 1.721 10.959
C 0.938 0.349 4.421
C -3.655 2.288 8.540
C -2.297 0.980 2.086
C -1.830 -3.167 5.115
C -1.661 2.936 5.319
O -0.717 2.934 6.199
O -0.923 -3.180 6.075
O 0.946 1.265 3.478
O -0.397 2.662 10.073
O -2.305 0.065 3.031
O -3.678 1.346 9.429
O -1.879 5.820 6.973
O -1.923 -0.249 6.756
O -1.557 1.232 11.353
O -0.151 -0.184 4.811
O -0.545 0.835 8.170
O -5.072 5.378 1.940
O 2.421 -2.754 10.965
O -2.265 1.873 4.944
O -2.528 2.776 8.139
O -1.210 1.524 1.709
O -0.624 -1.358 8.219
O -0.589 4.711 8.424
O -4.092 -0.246 5.201
O 2.031 -0.002 4.986
O -4.718 2.741 8.001
O 1.336 2.825 7.814
O -2.217 -2.068 4.612
O -2.006 4.045 4.747



Going by the computed energies, the most stable comes first: <B>, <C>, <A>.



<A>
! VC2O6 (GGA+U, relaxed); values from VASP
! - Magnetic moment: 4.00 μB per cell
! - ρ: 2.5 g/cm³
&SYSTEM
  ibrav = 0, nat = 36, ntyp = 3
/
ATOMIC_SPECIES
V 50.94 V.upf
C 12.01 C.upf
O 16.00 O.upf
CELL_PARAMETERS angstrom
-2.932 3.739 0.984
-5.896 -1.782 1.242
3.574 1.692 16.104
ATOMIC_POSITIONS angstrom
V 1.128 1.303 10.344
V -0.180 2.212 14.925
V -5.071 1.434 3.404
V -6.383 2.347 7.986
C -7.345 2.345 5.141
C 0.171 1.303 7.498
C -1.145 2.213 12.081
C -2.454 3.125 16.663
C -2.797 0.521 1.668
C -4.108 1.435 6.249
C -5.426 2.348 10.831
C 2.092 1.302 13.188
O -3.522 1.434 2.222
O -4.831 2.349 6.805
O -3.218 -0.478 10.401
O 1.371 2.217 13.746
O -6.228 1.414 1.833
O -7.543 2.324 6.415
O -0.029 1.283 8.772
O -1.341 2.191 13.356
O -5.014 -0.515 3.426
O -0.430 2.182 6.765
O -1.745 3.094 11.351
O -3.054 4.003 15.930
O -2.197 -0.357 2.400
O -3.508 0.556 6.980
O -4.827 1.469 11.563
O -0.239 4.161 14.901
O -3.911 1.456 4.975
O -5.226 2.368 9.557
O 2.288 1.325 11.913
O 0.976 2.233 16.497
O -6.623 1.432 4.585
O -2.037 4.130 7.927
O -0.424 1.299 11.523
O -1.730 2.212 16.109



<B>
! VC2O6 (GGA+U, relaxed); values from VASP
! - Magnetic moment: 4.00 μB per cell
! - ρ: 2.3 g/cm³
&SYSTEM
  ibrav = 0, nat = 36, ntyp = 3
/
ATOMIC_SPECIES
V 50.94 V.upf
C 12.01 C.upf
O 16.00 O.upf
CELL_PARAMETERS angstrom
-5.861 1.278 1.312
-0.529 -8.438 8.908
3.467 2.865 5.157
ATOMIC_POSITIONS angstrom
V -0.463 -4.013 6.749
V -2.725 -4.501 13.082
V -0.201 0.202 2.293
V -2.457 -0.278 8.630
C -0.144 -2.211 4.217
C -0.406 -6.432 8.669
C 0.353 -1.370 7.960
C 0.085 -5.593 12.414
C -3.010 1.295 2.963
C -3.272 -2.919 7.417
C -2.513 2.136 6.706
C -2.780 -2.082 11.161
O 2.804 1.722 6.232
O 2.541 -2.494 10.688
O 0.291 1.563 3.482
O 0.030 -2.651 7.936
O -2.948 -1.639 7.441
O -3.217 -5.862 11.895
O -5.461 -1.798 4.692
O -5.728 -6.019 9.143
O 1.531 -0.997 7.642
O 1.264 -5.222 12.099
O -0.524 -2.588 5.375
O -0.785 -6.808 9.828
O -2.135 2.512 5.548
O -2.401 -1.705 10.003
O -4.188 0.921 3.282
O -4.451 -3.291 7.732
O -0.274 -0.992 3.884
O -0.533 -5.212 8.338
O -0.500 -0.502 8.320
O -0.768 -4.724 12.770
O -2.157 0.426 2.603
O -2.419 -3.789 7.061
O -2.383 0.917 7.039
O -2.654 -3.301 11.493



Going by the computed energies, the most stable comes first: <B>, <A>.



<A>
! CaFeClO2 (GGA+U, relaxed); values from VASP
! - Magnetic moment: 10.00 μB per cell
! - ρ: 2.9 g/cm³
&SYSTEM
  ibrav = 0, nat = 10, ntyp = 4
/
ATOMIC_SPECIES
Ca 40.08 Ca.upf
Fe 55.84 Fe.upf
Cl 35.45 Cl.upf
O 16.00 O.upf
CELL_PARAMETERS angstrom
-3.397 1.161 0.497
-1.528 -3.649 -1.227
-1.549 -4.190 11.817
ATOMIC_POSITIONS angstrom
Ca -4.062 -4.264 9.811
Ca -2.728 -4.701 4.869
Fe -2.993 -0.508 3.362
Fe -1.519 -3.082 -0.981
Cl -2.480 -2.793 2.711
Cl -3.978 -3.317 7.118
O -3.689 0.247 1.918
O -4.518 -5.991 11.154
O -1.939 -3.893 10.218
O -3.213 -0.848 5.164



<B>
! CaFeClO2 (GGA+U, relaxed); values from VASP
! - Magnetic moment: 10.00 μB per cell
! - ρ: 3.1 g/cm³
&SYSTEM
  ibrav = 0, nat = 10, ntyp = 4
/
ATOMIC_SPECIES
Ca 40.08 Ca.upf
Fe 55.84 Fe.upf
Cl 35.45 Cl.upf
O 16.00 O.upf
CELL_PARAMETERS angstrom
2.332 2.868 0.000
-2.332 2.868 0.000
0.000 1.326 12.996
ATOMIC_POSITIONS angstrom
Ca 0.000 2.872 2.150
Ca 0.000 4.727 6.750
Fe 0.000 6.674 9.498
Fe 0.000 1.327 12.962
Cl 0.000 4.294 9.545
Cl 0.000 2.697 4.961
O 0.000 1.732 11.112
O 0.000 3.830 0.120
O 0.000 0.559 1.814
O 0.000 1.070 7.603



Going by the computed energies, the most stable comes first: <A>, <B>.



<A>
! CaCoF5 (GGA+U, relaxed); values from VASP
! - Magnetic moment: 4.00 μB per cell
! - ρ: 3.1 g/cm³
&SYSTEM
  ibrav = 0, nat = 14, ntyp = 3
/
ATOMIC_SPECIES
Ca 40.08 Ca.upf
Co 58.93 Co.upf
F 19.00 F.upf
CELL_PARAMETERS angstrom
3.274 4.534 0.000
-3.274 4.534 0.000
0.000 3.276 6.925
ATOMIC_POSITIONS angstrom
Ca 0.304 6.991 5.194
Ca -0.304 5.353 1.731
Co 0.000 1.638 3.462
Co 0.000 0.000 0.000
F -2.671 5.353 1.731
F 2.671 6.991 5.194
F -0.121 7.421 0.806
F -0.121 3.285 2.656
F 1.347 5.998 3.226
F 1.347 4.708 0.236
F -1.347 6.346 3.699
F -1.347 7.636 6.688
F 0.121 9.059 4.269
F 0.121 4.923 6.118



<B>
! CaCoF5 (GGA+U, relaxed); values from VASP
! - Magnetic moment: 0.00 μB per cell
! - ρ: 3.2 g/cm³
&SYSTEM
  ibrav = 0, nat = 28, ntyp = 3
/
ATOMIC_SPECIES
Ca 40.08 Ca.upf
Co 58.93 Co.upf
F 19.00 F.upf
CELL_PARAMETERS angstrom
10.091 0.000 0.000
0.000 5.576 0.000
0.000 2.619 7.210
ATOMIC_POSITIONS angstrom
Ca 0.208 4.899 5.362
Ca 5.253 4.605 5.453
Ca 9.883 3.295 1.848
Ca 4.838 3.590 1.757
Co 7.604 2.164 4.321
Co 2.558 7.340 6.494
Co 2.487 6.031 2.889
Co 7.533 0.854 0.716
F 8.901 3.620 4.007
F 3.855 5.884 6.807
F 1.190 4.575 3.202
F 6.236 2.310 0.403
F 6.198 3.303 3.651
F 1.153 6.201 7.163
F 3.893 4.891 3.558
F 8.939 1.994 0.046
F 3.961 2.786 5.852
F 9.006 6.718 4.962
F 6.131 5.409 1.357
F 1.085 1.476 2.247
F 1.390 3.202 6.196
F 6.436 6.302 4.618
F 8.701 4.992 1.014
F 3.655 1.893 2.591
F 7.080 3.055 6.032
F 2.035 6.449 4.782
F 3.011 5.139 1.177
F 8.056 1.746 2.427



Going by the computed energies, the most stable comes first: <A>, <B>.



<A>
! CaCo6O2F10 (GGA+U, relaxed); values from VASP
! - Magnetic moment: 18.00 μB per cell
! - ρ: 3.9 g/cm³
&SYSTEM
  ibrav = 0, nat = 19, ntyp = 4
/
ATOMIC_SPECIES
Ca 40.08 Ca.upf
Co 58.93 Co.upf
O 16.00 O.upf
F 19.00 F.upf
CELL_PARAMETERS angstrom
4.771 -0.163 -0.182
-0.159 4.782 -0.188
-0.399 -0.406 11.427
ATOMIC_POSITIONS angstrom
Ca 0.939 0.941 5.776
Co 4.236 4.242 -0.225
Co 0.336 0.341 2.868
Co 4.138 4.135 8.212
Co 2.239 2.246 1.663
Co 1.653 1.645 10.011
Co 2.807 2.816 4.770
O 1.561 1.567 3.549
O 2.924 2.930 -0.029
F 0.747 3.648 1.538
F 0.091 2.989 9.636
F 0.998 3.442 5.493
F 1.013 1.017 -0.013
F 0.868 0.860 8.081
F 3.359 3.383 6.655
F 3.541 3.561 3.157
F 3.635 0.749 1.538
F 2.991 0.079 9.643
F 3.431 1.012 5.503



<B>
! CaCo6O2F10 (GGA+U, relaxed); values from VASP
! - Magnetic moment: 18.00 μB per cell
! - ρ: 4.0 g/cm³
&SYSTEM
  ibrav = 0, nat = 19, ntyp = 4
/
ATOMIC_SPECIES
Ca 40.08 Ca.upf
Co 58.93 Co.upf
O 16.00 O.upf
F 19.00 F.upf
CELL_PARAMETERS angstrom
-0.692 4.411 1.635
-0.254 -1.921 4.342
11.414 0.668 -0.286
ATOMIC_POSITIONS angstrom
Ca 0.919 1.759 3.964
Co 10.569 0.659 -0.171
Co 4.613 0.315 -0.010
Co 7.539 0.555 0.076
Co 2.145 0.654 1.182
Co 8.615 1.988 3.253
Co 5.271 1.588 2.860
O 3.919 0.972 1.639
O 10.185 2.486 4.165
F 1.631 -0.495 3.659
F 8.763 0.019 3.967
F 5.659 -0.219 3.767
F 0.214 0.722 1.655
F 7.253 1.317 1.905
F 6.737 2.267 4.210
F 3.213 2.042 4.255
F 1.378 3.163 2.094
F 8.497 3.866 2.322
F 5.400 3.522 2.168



<C>
! CaCo6O2F10 (GGA+U, relaxed); values from VASP
! - Magnetic moment: 18.00 μB per cell
! - ρ: 3.9 g/cm³
&SYSTEM
  ibrav = 0, nat = 19, ntyp = 4
/
ATOMIC_SPECIES
Ca 40.08 Ca.upf
Co 58.93 Co.upf
O 16.00 O.upf
F 19.00 F.upf
CELL_PARAMETERS angstrom
-1.109 -1.362 5.087
5.361 -0.962 -0.469
0.599 8.856 2.666
ATOMIC_POSITIONS angstrom
Ca 1.784 5.200 5.501
Co 3.907 -2.039 4.265
Co 0.692 2.764 1.099
Co 5.599 4.863 1.505
Co 1.680 0.181 3.187
Co 3.224 7.412 3.742
Co 3.324 2.568 3.267
O 1.728 1.984 2.483
O 3.047 7.194 5.673
F 3.987 -0.037 0.807
F 4.169 6.219 2.351
F 4.830 3.090 2.104
F 0.901 -0.426 1.166
F 1.674 5.771 3.386
F 3.361 3.751 4.871
F 3.422 0.926 4.432
F 0.128 0.247 4.504
F 0.003 6.195 6.383
F 0.395 3.331 5.872



Going by the computed energies, the most stable comes first: <C>, <B>, <A>.